Ta3As | r²SCAN | relaxed

Total energy: -40.51 eV/atom
Symmetry: P4_2/n
Total magnetization: 0.000 μB per cell
Calculated density: 14.94 Mg/m³

Geometry as CIF:
```
data_Ta3As
_chemical_formula_sum 'Ta24 As8'
_space_group_name_H-M_alt 'P 1'
_space_group_IT_number 1
_cell_length_a 5.153
_cell_length_b 10.324
_cell_length_c 10.324
_cell_angle_alpha 90.00
_cell_angle_beta 90.00
_cell_angle_gamma 90.00
loop_
_space_group_symop_operation_xyz
'x,y,z'
loop_
_atom_site_label
_atom_site_type_symbol
_atom_site_fract_x
_atom_site_fract_y
_atom_site_fract_z
Ta1 Ta 0.243 0.055 0.959
Ta2 Ta 0.243 0.445 0.541
Ta3 Ta 0.266 0.662 0.344
Ta4 Ta 0.766 0.844 0.338
Ta5 Ta 0.487 0.601 0.742
Ta6 Ta 0.513 0.399 0.258
Ta7 Ta 0.743 0.459 0.945
Ta8 Ta 0.734 0.162 0.844
Ta9 Ta 0.757 0.555 0.459
Ta10 Ta 0.513 0.101 0.242
Ta11 Ta 0.757 0.945 0.041
Ta12 Ta 0.013 0.742 0.899
Ta13 Ta 0.734 0.338 0.656
Ta14 Ta 0.743 0.041 0.555
Ta15 Ta 0.266 0.838 0.156
Ta16 Ta 0.987 0.242 0.399
Ta17 Ta 0.234 0.156 0.662
Ta18 Ta 0.257 0.959 0.445
Ta19 Ta 0.234 0.344 0.838
Ta20 Ta 0.766 0.656 0.162
Ta21 Ta 0.257 0.541 0.055
Ta22 Ta 0.487 0.899 0.758
Ta23 Ta 0.987 0.258 0.101
Ta24 Ta 0.013 0.758 0.601
As1 As 0.986 0.544 0.735
As2 As 0.486 0.265 0.044
As3 As 0.514 0.765 0.544
As4 As 0.514 0.735 0.956
As5 As 0.014 0.044 0.235
As6 As 0.986 0.956 0.765
As7 As 0.486 0.235 0.456
As8 As 0.014 0.456 0.265
```

Te3As2 | r²SCAN | relaxed

Symmetry: P2_1/m
Total magnetization: 0.000 μB per cell
Distance to the lowest polymorph of the same formula: 0.12 eV per formula unit
Calculated density: 6.04 Mg/m³

Geometry as CIF:
```
data_Te3As2
_chemical_formula_sum 'Te24 As16'
_space_group_name_H-M_alt 'P 1'
_space_group_IT_number 1
_cell_length_a 7.035
_cell_length_b 10.496
_cell_length_c 16.272
_cell_angle_alpha 90.00
_cell_angle_beta 90.00
_cell_angle_gamma 102.73
loop_
_space_group_symop_operation_xyz
'x,y,z'
loop_
_atom_site_label
_atom_site_type_symbol
_atom_site_fract_x
_atom_site_fract_y
_atom_site_fract_z
As1 As 0.107 0.819 0.375
As2 As 0.893 0.182 0.375
As3 As 0.107 0.818 0.625
As4 As 0.893 0.182 0.125
As5 As 0.394 0.181 0.500
As6 As 0.107 0.818 0.875
As7 As 0.394 0.181 0.000
As8 As 0.394 0.182 0.750
As9 As 0.893 0.181 0.625
As10 As 0.608 0.818 0.750
As11 As 0.107 0.819 0.125
As12 As 0.606 0.819 0.000
As13 As 0.392 0.182 0.250
As14 As 0.606 0.818 0.250
As15 As 0.893 0.181 0.875
As16 As 0.606 0.819 0.500
Te1 Te 0.277 0.336 0.125
Te2 Te 0.278 0.336 0.875
Te3 Te 0.778 0.336 0.750
Te4 Te 0.777 0.337 0.250
Te5 Te 0.723 0.664 0.875
Te6 Te 0.223 0.663 0.750
Te7 Te 0.500 0.000 0.125
Te8 Te 0.277 0.336 0.375
Te9 Te 0.777 0.336 0.500
Te10 Te 0.500 0.000 0.875
Te11 Te 0.000 0.000 0.500
Te12 Te 0.722 0.664 0.375
Te13 Te 0.223 0.664 0.500
Te14 Te 0.223 0.664 0.000
Te15 Te 0.500 0.000 0.625
Te16 Te 0.222 0.664 0.250
Te17 Te 0.500 0.000 0.375
Te18 Te 0.000 0.000 0.750
Te19 Te 0.777 0.336 0.000
Te20 Te 0.000 0.000 0.250
Te21 Te 0.278 0.336 0.625
Te22 Te 0.722 0.664 0.125
Te23 Te 0.000 0.000 0.000
Te24 Te 0.723 0.664 0.625
```